Record 1
Below is a relaxed structure of Mg6AlB, with properties calculated at the GGA-PBE level.

abc: 4.7465 6.2101 10.4710
angles: 90.00 90.00 90.00
Sites, in units of the cell vectors:
Al 0.5000 0.0000 0.8332
Mg 0.0000 0.5000 0.1694
Mg 0.0000 0.2576 0.9115
Mg 0.0000 0.0000 0.6694
Mg 0.0000 0.2424 0.4115
B 0.5000 0.0000 0.3326
B 0.5000 0.5000 0.8326
Mg 0.5000 0.2501 0.0837
Mg 0.5000 0.7499 0.0837
Mg 0.0000 0.7424 0.9115
Mg 0.0000 0.0000 0.1745
Mg 0.5000 0.2499 0.5837
Mg 0.5000 0.7501 0.5837
Mg 0.0000 0.7576 0.4115
Al 0.5000 0.5000 0.3332
Mg 0.0000 0.5000 0.6745

## Properties
* total DFT energy (no corrections): -0.15750 Ry/atom
* size of the total moment: 0.0 μB per cell
* formation enthalpy at 0 K: 0.36 eV/atom
* excess energy over the best structure of this formula in the dataset: 0 meV/atom

Record 2
Below is a relaxed structure of Al2IrRu, with properties calculated at the GGA-PBE level.

abc: 4.2563 4.2563 4.2563
angles: 60.00 60.00 60.00
Sites, in units of the cell vectors:
Al 0.2500 0.2500 0.2500
Al 0.7500 0.7500 0.7500
Ir 0.0000 0.0000 0.0000
Ru 0.5000 0.5000 0.5000

## Properties
* total DFT energy (no corrections): -0.53572 Ry/atom
* formation enthalpy at 0 K: -0.89 eV/atom
* space-group type: Fm-3m, No. 225

Record 3
Below is a relaxed structure of Y3Cd, with properties calculated at the GGA-PBE level.

abc: 4.8791 4.8791 4.8791
angles: 90.00 90.00 90.00
Sites, in units of the cell vectors:
Y 0.0000 0.0000 0.5000
Y 0.0000 0.5000 0.0000
Y 0.5000 0.0000 0.0000
Cd 0.5000 0.5000 0.5000

## Properties
* total DFT energy (no corrections): -0.38049 Ry/atom
* size of the total moment: 0.0 μB per cell
* formation enthalpy at 0 K: -0.10 eV/atom
* space-group type: Pm-3m, No. 221

Record 4
Below is a relaxed structure of KRbGeO3, with properties calculated at the GGA-PBE level.

abc: 13.4335 5.6851 11.8492
angles: 90.00 90.00 90.00
Sites, in units of the cell vectors:
K 0.0017 0.2500 0.0974
K 0.1762 0.2500 0.8667
K 0.3238 0.7500 0.3667
K 0.4983 0.7500 0.5974
K 0.5017 0.2500 0.4026
K 0.6762 0.2500 0.6333
K 0.8238 0.7500 0.1333
K 0.9983 0.7500 0.9026
Rb 0.0620 0.7500 0.5844
Rb 0.2460 0.2500 0.5549
Rb 0.2540 0.7500 0.0549
Rb 0.4380 0.2500 0.0844
Rb 0.5620 0.7500 0.9156
Rb 0.7460 0.2500 0.9451
Rb 0.7540 0.7500 0.4451
Rb 0.9380 0.2500 0.4156
Ge 0.0569 0.7500 0.2678
Ge 0.2058 0.2500 0.2525
Ge 0.2942 0.7500 0.7525
Ge 0.4431 0.2500 0.7678
Ge 0.5569 0.7500 0.2322
Ge 0.7058 0.2500 0.2475
Ge 0.7942 0.7500 0.7475
Ge 0.9431 0.2500 0.7322
O 0.0335 0.7500 0.1228
O 0.0456 0.2500 0.6425
O 0.1351 0.0004 0.3111
O 0.1351 0.4996 0.3111
O 0.1815 0.7500 0.8249
O 0.2100 0.2500 0.1054
O 0.2900 0.7500 0.6054
O 0.3185 0.2500 0.3249
O 0.3649 0.9996 0.8111
O 0.3649 0.5004 0.8111
O 0.4544 0.7500 0.1425
O 0.4665 0.2500 0.6228
O 0.5335 0.7500 0.3772
O 0.5456 0.2500 0.8575
O 0.6351 0.0004 0.1889
O 0.6351 0.4996 0.1889
O 0.6815 0.7500 0.6751
O 0.7100 0.2500 0.3946
O 0.7900 0.7500 0.8946
O 0.8185 0.2500 0.1751
O 0.8649 0.9996 0.6889
O 0.8649 0.5004 0.6889
O 0.9544 0.7500 0.3575
O 0.9665 0.2500 0.8772

## Properties
* total DFT energy (no corrections): -0.39297 Ry/atom
* size of the total moment: 0.0 μB per cell
* formation enthalpy at 0 K: -2.10 eV/atom
* space-group type: Pnma, No. 62

Record 5
Below is a relaxed structure of ReN2, with properties calculated at the GGA-PBE level.

abc: 2.9034 4.9644 7.8839
angles: 90.00 90.00 90.00
Sites, in units of the cell vectors:
Re 0.2045 0.2500 0.0000
Re 0.2045 0.2500 0.5000
Re 0.7955 0.7500 0.0000
Re 0.7955 0.7500 0.5000
N 0.2918 0.5803 0.1638
N 0.2918 0.5803 0.3362
N 0.2918 0.9197 0.6638
N 0.2918 0.9197 0.8362
N 0.7082 0.0803 0.1638
N 0.7082 0.0803 0.3362
N 0.7082 0.4197 0.6638
N 0.7082 0.4197 0.8362

## Properties
* total DFT energy (no corrections): -0.69180 Ry/atom
* size of the total moment: 0.0 μB per cell
* formation enthalpy at 0 K: 0.05 eV/atom
* space-group type: Pbcm, No. 57

Record 6
Below is a relaxed structure of Na2LiCuP4O12, with properties calculated at the GGA-PBE level.

abc: 8.6460 8.6460 8.1111
angles: 93.17 93.17 114.41
Sites, in units of the cell vectors:
Na 0.1386 0.8614 0.5000
Na 0.2180 0.5027 0.8944
Na 0.5027 0.2180 0.3944
Na 0.8614 0.1386 0.0000
Li 0.5012 0.7782 0.1420
Li 0.7782 0.5012 0.6420
Cu 0.5419 0.8436 0.7946
Cu 0.8436 0.5419 0.2946
P 0.1220 0.4398 0.3198
P 0.2356 0.9089 0.0756
P 0.4398 0.1220 0.8198
P 0.4695 0.5992 0.5094
P 0.5992 0.4695 0.0094
P 0.7598 0.8970 0.3778
P 0.8970 0.7598 0.8778
P 0.9089 0.2356 0.5756
O 0.0305 0.8294 0.0400
O 0.0503 0.2878 0.4408
O 0.0776 0.5861 0.3763
O 0.0836 0.3688 0.1431
O 0.2788 0.9944 0.2475
O 0.2878 0.0503 0.9408
O 0.2998 0.7756 0.0309
O 0.3247 0.4978 0.3616
O 0.3688 0.0836 0.6431
O 0.3895 0.6385 0.6585
O 0.4978 0.3247 0.8616
O 0.5048 0.5793 0.0294
O 0.5653 0.7749 0.4224
O 0.5793 0.5048 0.5294
O 0.5861 0.0776 0.8763
O 0.6385 0.3895 0.1585
O 0.7233 0.9757 0.2285
O 0.7749 0.5653 0.9224
O 0.7756 0.2998 0.5309
O 0.7976 0.8662 0.8721
O 0.8294 0.0305 0.5400
O 0.8662 0.7976 0.3721
O 0.9757 0.7233 0.7285
O 0.9944 0.2788 0.7475

## Properties
* total DFT energy (no corrections): -0.48036 Ry/atom
* size of the total moment: 0.0 μB per cell
* formation enthalpy at 0 K: -2.46 eV/atom
* space-group type: Cc, No. 9

Record 7
Below is a relaxed structure of Sm2MgSi2, with properties calculated at the GGA-PBE level.

abc: 7.3070 7.3070 4.3068
angles: 90.00 90.00 90.00
Sites, in units of the cell vectors:
Sm 0.1794 0.3206 0.0000
Sm 0.3206 0.8206 0.0000
Sm 0.6794 0.1794 0.0000
Sm 0.8206 0.6794 0.0000
Mg 0.0000 0.0000 0.5000
Mg 0.5000 0.5000 0.5000
Si 0.1162 0.6162 0.5000
Si 0.3838 0.1162 0.5000
Si 0.6162 0.8838 0.5000
Si 0.8838 0.3838 0.5000

## Properties
* total DFT energy (no corrections): -0.37302 Ry/atom
* formation enthalpy at 0 K: -0.67 eV/atom
* space-group type: P4/mbm, No. 127

Record 8
Below is a relaxed structure of Li4Ti3NbO8, with properties calculated at the GGA-PBE level.

abc: 6.1089 6.1089 6.1089
angles: 57.17 57.17 57.17
Sites, in units of the cell vectors:
Li 0.0000 0.0000 0.0000
Li 0.0000 0.5000 0.5000
Li 0.5000 0.0000 0.5000
Li 0.5000 0.5000 0.0000
Ti 0.0000 0.0000 0.5000
Ti 0.0000 0.5000 0.0000
Ti 0.5000 0.0000 0.0000
Nb 0.5000 0.5000 0.5000
O 0.2403 0.7538 0.7538
O 0.2431 0.2431 0.2431
O 0.2462 0.2462 0.7597
O 0.2462 0.7597 0.2462
O 0.7538 0.2403 0.7538
O 0.7538 0.7538 0.2403
O 0.7569 0.7569 0.7569
O 0.7597 0.2462 0.2462

## Properties
* total DFT energy (no corrections): -0.55430 Ry/atom
* size of the total moment: 0.0 μB per cell
* formation enthalpy at 0 K: -2.82 eV/atom
* space-group type: R-3m, No. 166

Record 9
Below is a relaxed structure of SmMn2Si2, with properties calculated at the GGA-PBE level.

abc: 5.9055 5.9055 5.9055
angles: 141.01 141.01 56.33
Sites, in units of the cell vectors:
Sm 0.0000 0.0000 0.0000
Mn 0.2500 0.7500 0.5000
Mn 0.7500 0.2500 0.5000
Si 0.3771 0.3771 0.0000
Si 0.6229 0.6229 0.0000

## Properties
* total DFT energy (no corrections): -0.54235 Ry/atom
* formation enthalpy at 0 K: -0.57 eV/atom
* space-group type: I4/mmm, No. 139

Record 10
Below is a relaxed structure of Fe3N, with properties calculated at the GGA-PBE level.

abc: 4.6588 4.6588 4.3222
angles: 90.00 90.00 120.00
Sites, in units of the cell vectors:
Fe 0.0000 0.3268 0.0000
Fe 0.0000 0.6732 0.5000
Fe 0.3268 0.0000 0.0000
Fe 0.3268 0.3268 0.5000
Fe 0.6732 0.0000 0.5000
Fe 0.6732 0.6732 0.0000
N 0.3333 0.6667 0.7500
N 0.6667 0.3333 0.2500

## Properties
* total DFT energy (no corrections): -0.62508 Ry/atom
* formation enthalpy at 0 K: -0.16 eV/atom
* space-group type: P6_322, No. 182

Record 11
Below is a relaxed structure of Na2Ti2O5, with properties calculated at the GGA-PBE level.

abc: 5.4971 12.1495 10.7695
angles: 90.00 120.14 90.00
Sites, in units of the cell vectors:
Na 0.0822 0.0287 0.3801
Na 0.0822 0.4713 0.8801
Na 0.4158 0.5038 0.6294
Na 0.4158 0.9962 0.1294
Na 0.5842 0.0038 0.8706
Na 0.5842 0.4962 0.3706
Na 0.9178 0.5287 0.1199
Na 0.9178 0.9713 0.6199
Ti 0.0174 0.1753 0.8269
Ti 0.0174 0.3247 0.3269
Ti 0.3692 0.6929 0.0579
Ti 0.3692 0.8071 0.5579
Ti 0.6308 0.1929 0.4421
Ti 0.6308 0.3071 0.9421
Ti 0.9826 0.6753 0.6731
Ti 0.9826 0.8247 0.1731
O 0.1008 0.6819 0.8662
O 0.1008 0.8181 0.3662
O 0.1584 0.0434 0.8805
O 0.1584 0.4566 0.3805
O 0.2753 0.2114 0.4214
O 0.2753 0.2886 0.9214
O 0.2867 0.6903 0.6429
O 0.2867 0.8097 0.1429
O 0.3580 0.5650 0.1300
O 0.3580 0.9350 0.6300
O 0.6420 0.0650 0.3700
O 0.6420 0.4350 0.8700
O 0.7133 0.1903 0.8571
O 0.7133 0.3097 0.3571
O 0.7247 0.7114 0.0786
O 0.7247 0.7886 0.5786
O 0.8416 0.5434 0.6195
O 0.8416 0.9566 0.1195
O 0.8992 0.1819 0.6338
O 0.8992 0.3181 0.1338

## Properties
* total DFT energy (no corrections): -0.54549 Ry/atom
* size of the total moment: 0.0 μB per cell
* formation enthalpy at 0 K: -3.01 eV/atom
* space-group type: P2_1/c, No. 14

Record 12
Below is a relaxed structure of ZnPb3, with properties calculated at the GGA-PBE level.

abc: 6.0714 6.0714 6.0714
angles: 134.00 134.00 67.08
Sites, in units of the cell vectors:
Zn 0.0000 0.0000 0.0000
Pb 0.2500 0.7500 0.5000
Pb 0.5000 0.5000 0.0000
Pb 0.7500 0.2500 0.5000

## Properties
* total DFT energy (no corrections): -0.21893 Ry/atom
* size of the total moment: 0.0 μB per cell
* formation enthalpy at 0 K: 0.12 eV/atom
* space-group type: I4/mmm, No. 139

Record 13
Below is a relaxed structure of BaErAl3SiN4O3, with properties calculated at the GGA-PBE level.

abc: 6.1378 6.1378 10.1477
angles: 90.00 90.00 120.00
Sites, in units of the cell vectors:
Ba 0.3333 0.6667 0.0000
Ba 0.6667 0.3333 0.5000
Er 0.3333 0.6667 0.3844
Er 0.6667 0.3333 0.8844
Al 0.1654 0.3308 0.6848
Al 0.1654 0.8346 0.6848
Al 0.3308 0.1654 0.1848
Al 0.6692 0.8346 0.6848
Al 0.8346 0.1654 0.1848
Al 0.8346 0.6692 0.1848
Si 0.0000 0.0000 0.4476
Si 0.0000 0.0000 0.9476
N 0.0000 0.0000 0.2661
N 0.0000 0.0000 0.7661
N 0.1542 0.3085 0.5036
N 0.1542 0.8458 0.5036
N 0.3085 0.1542 0.0036
N 0.6915 0.8458 0.5036
N 0.8458 0.1542 0.0036
N 0.8458 0.6915 0.0036
O 0.0210 0.5105 0.7399
O 0.4895 0.5105 0.7399
O 0.4895 0.9790 0.7399
O 0.5105 0.0210 0.2399
O 0.5105 0.4895 0.2399
O 0.9790 0.4895 0.2399

## Properties
* total DFT energy (no corrections): -0.55706 Ry/atom
* size of the total moment: 0.0 μB per cell
* formation enthalpy at 0 K: -2.25 eV/atom
* space-group type: P6_3mc, No. 186

Record 14
Below is a relaxed structure of Er5Ge2Sb2, with properties calculated at the GGA-PBE level.

abc: 8.4715 8.4715 7.8771
angles: 90.00 90.00 55.17
Sites, in units of the cell vectors:
Er 0.0000 0.0000 0.0000
Er 0.0366 0.7073 0.6640
Er 0.2073 0.5366 0.1640
Er 0.2927 0.9634 0.6640
Er 0.4634 0.7927 0.1640
Er 0.5000 0.5000 0.5000
Er 0.5366 0.2073 0.8360
Er 0.7073 0.0366 0.3360
Er 0.7927 0.4634 0.8360
Er 0.9634 0.2927 0.3360
Ge 0.1388 0.8612 0.3623
Ge 0.3612 0.6388 0.8623
Ge 0.6388 0.3612 0.1377
Ge 0.8612 0.1388 0.6377
Sb 0.2049 0.2049 0.0000
Sb 0.2951 0.2951 0.5000
Sb 0.7049 0.7049 0.5000
Sb 0.7951 0.7951 0.0000

## Properties
* total DFT energy (no corrections): -0.39929 Ry/atom
* formation enthalpy at 0 K: -0.99 eV/atom
* space-group type: Cmce, No. 64

Record 15
Below is a relaxed structure of TiGePd, with properties calculated at the GGA-PBE level.

abc: 6.4114 3.8801 7.6093
angles: 90.00 90.00 90.00
Sites, in units of the cell vectors:
Ti 0.0348 0.2500 0.1832
Ti 0.4652 0.7500 0.6832
Ti 0.5348 0.2500 0.3168
Ti 0.9652 0.7500 0.8168
Ge 0.2428 0.2500 0.8760
Ge 0.2572 0.7500 0.3760
Ge 0.7428 0.2500 0.6240
Ge 0.7572 0.7500 0.1240
Pd 0.1445 0.2500 0.5613
Pd 0.3555 0.7500 0.0613
Pd 0.6445 0.2500 0.9387
Pd 0.8555 0.7500 0.4387

## Properties
* total DFT energy (no corrections): -0.48581 Ry/atom
* formation enthalpy at 0 K: -0.71 eV/atom
* space-group type: Pnma, No. 62

Record 16
Below is a relaxed structure of LaGa6Pd, with properties calculated at the GGA-PBE level.

abc: 4.4372 4.4372 7.9628
angles: 90.00 90.00 90.00
Sites, in units of the cell vectors:
La 0.0000 0.0000 0.0000
Ga 0.0000 0.5000 0.3290
Ga 0.0000 0.5000 0.6710
Ga 0.5000 0.0000 0.3290
Ga 0.5000 0.0000 0.6710
Ga 0.5000 0.5000 0.1530
Ga 0.5000 0.5000 0.8470
Pd 0.0000 0.0000 0.5000

## Properties
* total DFT energy (no corrections): -0.29886 Ry/atom
* formation enthalpy at 0 K: -0.53 eV/atom
* space-group type: P4/mmm, No. 123

Record 17
Below is a relaxed structure of Ce10Ni3Sn3, with properties calculated at the GGA-PBE level.

abc: 8.7072 7.9791 8.3632
angles: 64.34 55.69 59.97
Sites, in units of the cell vectors:
Ce 0.0085 0.6685 0.6974
Ce 0.1354 0.8646 0.1354
Ce 0.2872 0.8940 0.7128
Ce 0.3026 0.3745 0.9915
Ce 0.3745 0.3026 0.3315
Ce 0.5544 0.8446 0.1554
Ce 0.6685 0.0085 0.6255
Ce 0.8446 0.5544 0.4456
Ce 0.8646 0.1354 0.8646
Ce 0.8940 0.2872 0.1060
Ni 0.2515 0.2515 0.7485
Ni 0.7096 0.9604 0.2904
Ni 0.9604 0.7096 0.0396
Sn 0.0886 0.0886 0.4114
Sn 0.4837 0.4837 0.5163
Sn 0.5886 0.5886 0.9114

## Properties
* total DFT energy (no corrections): -0.43245 Ry/atom
* size of the total moment: 7.4 μB per cell
* formation enthalpy at 0 K: -0.34 eV/atom
* space-group type: Fmm2, No. 42